Computed, not measured: an optimized crystal structure of Sc7Cl12 at the r²SCAN level of DFT.

abc: 8.122 8.122 8.122
angles: 107.16 107.16 107.16
Sites, in units of the cell vectors:
Sc 0.000 0.000 0.000
Sc 0.194 0.398 0.473
Sc 0.398 0.473 0.194
Sc 0.473 0.194 0.398
Sc 0.527 0.806 0.602
Sc 0.602 0.527 0.806
Sc 0.806 0.602 0.527
Cl 0.039 0.345 0.118
Cl 0.118 0.039 0.345
Cl 0.181 0.722 0.575
Cl 0.278 0.425 0.819
Cl 0.345 0.118 0.039
Cl 0.425 0.819 0.278
Cl 0.575 0.181 0.722
Cl 0.655 0.882 0.961
Cl 0.722 0.575 0.181
Cl 0.819 0.278 0.425
Cl 0.882 0.961 0.655
Cl 0.961 0.655 0.882

## Properties
Calculated volume, A^3/atom: 23.4
SG: No. 148
Energy relative to the elements, meV per atom: -2004

---

Computed, not measured: an optimized crystal structure of HoAs at the r²SCAN level of DFT.

abc: 5.779 5.779 5.779
angles: 90.00 90.00 90.00
Sites, in units of the cell vectors:
Ho 0.000 0.000 0.000
Ho 0.000 0.500 0.500
Ho 0.500 0.000 0.500
Ho 0.500 0.500 0.000
As 0.000 0.000 0.500
As 0.000 0.500 0.000
As 0.500 0.000 0.000
As 0.500 0.500 0.500

## Properties
Calculated volume, A^3/atom: 24.1
SG: No. 225
Energy relative to the elements, meV per atom: -1799

---

Computed, not measured: an optimized crystal structure of Mg6AlSb at the r²SCAN level of DFT.

abc: 5.215 6.179 10.778
angles: 90.00 90.00 90.00
Sites, in units of the cell vectors:
Mg 0.500 0.247 0.913
Sb 0.500 0.500 0.163
Mg 0.000 0.000 0.331
Mg 0.500 0.000 0.168
Mg 0.000 0.500 0.831
Mg 0.000 0.250 0.085
Mg 0.500 0.747 0.413
Al 0.000 0.000 0.842
Sb 0.500 0.000 0.663
Mg 0.000 0.750 0.585
Mg 0.500 0.753 0.913
Mg 0.500 0.500 0.668
Mg 0.000 0.750 0.085
Al 0.000 0.500 0.342
Mg 0.000 0.250 0.585
Mg 0.500 0.253 0.413

## Properties
Calculated volume, A^3/atom: 21.7
Energy relative to the elements, meV per atom: -20

---

Among the records above, which one has the highest calculated volume? HoAs